Density functional theory data (PBE-GGA) for a relaxed structure of Nb5Ga4.

Cell: 8.013 8.013 5.482 Å, 90.00 90.00 120.00°
Sites, in units of the cell vectors:
Ga 0.382 0.382 0.750
Nb 0.282 0.282 0.250
Nb 0.333 0.667 0.500
Ga 0.000 0.382 0.250
Nb 0.718 0.718 0.750
Ga 0.618 0.000 0.750
Nb 0.282 0.000 0.750
Ga 0.000 0.618 0.750
Ga 0.618 0.618 0.250
Ga 0.382 0.000 0.250
Nb 0.718 0.000 0.250
Ga 0.000 0.000 0.500
Nb 0.000 0.282 0.750
Ga 0.000 0.000 0.000
Nb 0.667 0.333 0.000
Nb 0.000 0.718 0.250
Nb 0.333 0.667 0.000
Nb 0.667 0.333 0.500

## Properties
For the energy, the calculation gives -131.50 eV for the cell shown. Its space group is No. 193. The calculation puts the volume at 152.4 Å³/f.u.